No. 1
# KCr3O8

Crystalline KCr3O8 at its relaxed geometry (PBE with a Hubbard U, the Materials Project database).

abc: 5.232 5.232 15.728
angles: 86.89 86.89 63.86
Fractional positions:
O: 0.779 0.277 0.840
Cr: 0.000 0.000 0.250
O: 0.312 0.312 0.051
O: 0.221 0.723 0.160
O: 0.277 0.779 0.340
O: 0.221 0.723 0.660
Cr: 0.633 0.633 0.852
O: 0.779 0.277 0.340
O: 0.277 0.779 0.840
Cr: 0.367 0.367 0.148
Cr: 0.633 0.633 0.352
O: 0.780 0.780 0.281
O: 0.688 0.688 0.449
O: 0.312 0.312 0.551
O: 0.688 0.688 0.949
Cr: 0.000 0.000 0.750
O: 0.780 0.780 0.781
K: 0.000 0.000 0.000
O: 0.723 0.221 0.160
Cr: 0.367 0.367 0.648
O: 0.220 0.220 0.219
K: 0.000 0.000 0.500
O: 0.723 0.221 0.660
O: 0.220 0.220 0.719


No. 2
# Li9Mn2Co5O16

Crystalline Li9Mn2Co5O16 at its relaxed geometry (PBE with a Hubbard U, the Materials Project database).

Calculated values
energy relative to the lowest polymorph listed for this composition = 1.55 eV per formula unit
magnetization = 16.00 μB/f.u.

abc: 9.781 2.918 10.334
angles: 90.00 100.27 90.00
Fractional positions:
Li: 0.000 0.000 0.000
Li: 0.000 0.000 0.500
Li: 0.257 0.500 0.122
Li: 0.258 0.500 0.632
Li: 0.499 0.000 0.238
Li: 0.500 0.500 0.000
Li: 0.501 0.000 0.762
Li: 0.742 0.500 0.368
Li: 0.743 0.500 0.878
Mn: 0.005 0.500 0.751
Mn: 0.995 0.500 0.249
Co: 0.254 0.000 0.377
Co: 0.271 0.000 0.892
Co: 0.500 0.500 0.500
Co: 0.729 0.000 0.108
Co: 0.746 0.000 0.623
O: 0.110 0.000 0.196
O: 0.110 0.000 0.692
O: 0.121 0.500 0.918
O: 0.125 0.500 0.422
O: 0.365 0.000 0.058
O: 0.365 0.500 0.320
O: 0.365 0.500 0.814
O: 0.380 0.000 0.554
O: 0.620 0.000 0.446
O: 0.635 0.000 0.942
O: 0.635 0.500 0.186
O: 0.635 0.500 0.680
O: 0.875 0.500 0.578
O: 0.879 0.500 0.082
O: 0.890 0.000 0.308
O: 0.890 0.000 0.804


No. 3
# Mg6TiNiO8

Crystalline Mg6TiNiO8 at its relaxed geometry (PBE with a Hubbard U, the Materials Project database).

Calculated values
energy relative to the lowest polymorph listed for this composition = 0.00 eV per formula unit
magnetization = 0.22 μB/f.u.

abc: 4.216 4.216 8.860
angles: 90.00 90.00 90.00
Fractional positions:
Mg: 0.000 0.000 0.000
Mg: 0.000 0.000 0.500
Mg: 0.000 0.500 0.236
Mg: 0.000 0.500 0.764
Mg: 0.500 0.000 0.236
Mg: 0.500 0.000 0.764
Ti: 0.500 0.500 0.500
Ni: 0.500 0.500 0.000
O: 0.000 0.000 0.251
O: 0.000 0.000 0.749
O: 0.000 0.500 0.000
O: 0.000 0.500 0.500
O: 0.500 0.000 0.000
O: 0.500 0.000 0.500
O: 0.500 0.500 0.275
O: 0.500 0.500 0.725


No. 4
# MgNi2Sb4O12

Crystalline MgNi2Sb4O12 at its relaxed geometry (PBE with a Hubbard U, the Materials Project database).

Calculated values
energy relative to the lowest polymorph listed for this composition = 1.10 eV per formula unit
magnetization = 4.00 μB/f.u.

abc: 4.897 9.661 5.029
angles: 90.00 91.15 90.00
Fractional positions:
Mg: 0.000 0.000 0.000
Ni: 0.000 0.267 0.500
Ni: 0.500 0.761 0.000
Sb: 0.000 0.589 0.500
Sb: 0.000 0.909 0.500
Sb: 0.500 0.130 0.000
Sb: 0.500 0.450 0.000
O: 0.171 0.083 0.311
O: 0.192 0.751 0.317
O: 0.200 0.440 0.306
O: 0.278 0.913 0.796
O: 0.299 0.598 0.806
O: 0.306 0.290 0.813
O: 0.694 0.290 0.187
O: 0.701 0.598 0.194
O: 0.722 0.913 0.204
O: 0.800 0.440 0.694
O: 0.808 0.751 0.683
O: 0.829 0.083 0.689


No. 5
# NaPrCr4O12

Crystalline NaPrCr4O12 at its relaxed geometry (PBE with a Hubbard U, the Materials Project database).

Calculated values
magnetization = 4.00 μB/f.u.

abc: 5.336 5.336 7.571
angles: 90.00 90.00 90.00
Fractional positions:
Na: 0.000 0.000 0.000
Pr: 0.500 0.500 0.500
Cr: 0.000 0.500 0.241
Cr: 0.000 0.500 0.759
Cr: 0.500 0.000 0.241
Cr: 0.500 0.000 0.759
O: 0.000 0.500 0.000
O: 0.000 0.500 0.500
O: 0.254 0.254 0.255
O: 0.254 0.254 0.745
O: 0.254 0.746 0.255
O: 0.254 0.746 0.745
O: 0.500 0.000 0.000
O: 0.500 0.000 0.500
O: 0.746 0.254 0.255
O: 0.746 0.254 0.745
O: 0.746 0.746 0.255
O: 0.746 0.746 0.745


No. 6
# K9W20O60

Crystalline K9W20O60 at its relaxed geometry (PBE with a Hubbard U, the Materials Project database).

Calculated values
energy relative to the lowest polymorph listed for this composition = 0.00 eV per formula unit
magnetization = 8.53 μB/f.u.

abc: 7.841 13.131 13.146
angles: 85.07 72.66 72.64
Fractional positions:
K: 0.000 0.000 0.000
K: 0.076 0.673 0.174
K: 0.249 0.174 0.328
K: 0.251 0.826 0.673
K: 0.424 0.327 0.826
K: 0.576 0.673 0.174
K: 0.749 0.174 0.327
K: 0.751 0.826 0.672
K: 0.924 0.327 0.826
W: 0.000 0.000 0.500
W: 0.000 0.500 0.000
W: 0.110 0.209 0.075
W: 0.110 0.574 0.706
W: 0.184 0.707 0.424
W: 0.185 0.924 0.209
W: 0.316 0.293 0.574
W: 0.319 0.077 0.789
W: 0.391 0.425 0.293
W: 0.394 0.791 0.924
W: 0.500 0.000 0.500
W: 0.500 0.500 0.000
W: 0.606 0.209 0.076
W: 0.609 0.575 0.707
W: 0.681 0.923 0.211
W: 0.684 0.707 0.426
W: 0.815 0.076 0.791
W: 0.816 0.293 0.576
W: 0.890 0.426 0.294
W: 0.890 0.791 0.925
O: 0.001 0.710 0.788
O: 0.061 0.293 0.574
O: 0.072 0.075 0.793
O: 0.077 0.845 0.501
O: 0.078 0.001 0.344
O: 0.078 0.345 0.999
O: 0.078 0.500 0.845
O: 0.136 0.792 0.925
O: 0.140 0.426 0.292
O: 0.141 0.074 0.143
O: 0.142 0.644 0.572
O: 0.212 0.144 0.930
O: 0.212 0.785 0.291
O: 0.213 0.430 0.644
O: 0.243 0.000 0.500
O: 0.250 0.500 0.000
O: 0.284 0.857 0.073
O: 0.287 0.570 0.356
O: 0.288 0.211 0.713
O: 0.351 0.210 0.076
O: 0.357 0.928 0.857
O: 0.358 0.358 0.427
O: 0.358 0.574 0.708
O: 0.422 0.501 0.155
O: 0.422 0.656 0.001
O: 0.422 0.998 0.659
O: 0.423 0.154 0.500
O: 0.428 0.707 0.426
O: 0.440 0.924 0.209
O: 0.496 0.292 0.215
O: 0.504 0.708 0.785
O: 0.560 0.076 0.791
O: 0.572 0.293 0.574
O: 0.577 0.846 0.500
O: 0.578 0.002 0.341
O: 0.578 0.344 0.999
O: 0.578 0.499 0.845
O: 0.642 0.426 0.292
O: 0.642 0.642 0.573
O: 0.643 0.072 0.143
O: 0.649 0.790 0.924
O: 0.712 0.789 0.287
O: 0.713 0.430 0.644
O: 0.716 0.143 0.927
O: 0.750 0.500 0.000
O: 0.757 0.000 0.500
O: 0.787 0.570 0.356
O: 0.788 0.215 0.709
O: 0.788 0.856 0.070
O: 0.858 0.356 0.428
O: 0.859 0.926 0.857
O: 0.860 0.574 0.708
O: 0.864 0.208 0.075
O: 0.922 0.500 0.155
O: 0.922 0.655 0.001
O: 0.922 0.999 0.656
O: 0.923 0.155 0.499
O: 0.928 0.925 0.207
O: 0.939 0.707 0.426
O: 0.999 0.290 0.212


No. 7
# Li2Fe2W3O12

Crystalline Li2Fe2W3O12 at its relaxed geometry (PBE with a Hubbard U, the Materials Project database).

Calculated values
magnetization = 8.00 μB/f.u.

abc: 13.215 9.754 9.530
angles: 90.00 90.00 90.00
Fractional positions:
Li: 0.189 0.223 0.231
Li: 0.189 0.777 0.731
Li: 0.311 0.277 0.731
Li: 0.311 0.723 0.231
Li: 0.689 0.277 0.769
Li: 0.689 0.723 0.269
Li: 0.811 0.223 0.269
Li: 0.811 0.777 0.769
Fe: 0.122 0.254 0.534
Fe: 0.122 0.746 0.034
Fe: 0.378 0.246 0.034
Fe: 0.378 0.754 0.534
Fe: 0.622 0.246 0.466
Fe: 0.622 0.754 0.966
Fe: 0.878 0.254 0.966
Fe: 0.878 0.746 0.466
W: 0.000 0.462 0.250
W: 0.000 0.538 0.750
W: 0.142 0.098 0.895
W: 0.142 0.902 0.395
W: 0.358 0.402 0.395
W: 0.358 0.598 0.895
W: 0.500 0.038 0.750
W: 0.500 0.962 0.250
W: 0.642 0.402 0.105
W: 0.642 0.598 0.605
W: 0.858 0.098 0.605
W: 0.858 0.902 0.105
O: 0.013 0.141 0.930
O: 0.013 0.859 0.430
O: 0.065 0.432 0.625
O: 0.065 0.568 0.125
O: 0.093 0.351 0.335
O: 0.093 0.649 0.835
O: 0.162 0.088 0.389
O: 0.162 0.912 0.889
O: 0.181 0.174 0.729
O: 0.181 0.826 0.229
O: 0.219 0.171 0.035
O: 0.219 0.829 0.535
O: 0.281 0.329 0.535
O: 0.281 0.671 0.035
O: 0.319 0.326 0.229
O: 0.319 0.674 0.729
O: 0.338 0.412 0.889
O: 0.338 0.588 0.389
O: 0.407 0.149 0.835
O: 0.407 0.851 0.335
O: 0.435 0.068 0.125
O: 0.435 0.932 0.625
O: 0.487 0.359 0.430
O: 0.487 0.641 0.930
O: 0.513 0.359 0.070
O: 0.513 0.641 0.570
O: 0.565 0.068 0.375
O: 0.565 0.932 0.875
O: 0.593 0.149 0.665
O: 0.593 0.851 0.165
O: 0.662 0.412 0.611
O: 0.662 0.588 0.111
O: 0.681 0.326 0.271
O: 0.681 0.674 0.771
O: 0.719 0.329 0.965
O: 0.719 0.671 0.465
O: 0.781 0.171 0.465
O: 0.781 0.829 0.965
O: 0.819 0.174 0.771
O: 0.819 0.826 0.271
O: 0.838 0.088 0.111
O: 0.838 0.912 0.611
O: 0.907 0.351 0.165
O: 0.907 0.649 0.665
O: 0.935 0.432 0.875
O: 0.935 0.568 0.375
O: 0.987 0.141 0.570
O: 0.987 0.859 0.070


No. 8
# Li7Mn5O12

Crystalline Li7Mn5O12 at its relaxed geometry (PBE with a Hubbard U, the Materials Project database).

Calculated values
energy relative to the lowest polymorph listed for this composition = 0.42 eV per formula unit
magnetization = 18.00 μB/f.u.

abc: 6.915 7.801 8.760
angles: 84.62 80.04 72.19
Fractional positions:
Li: 0.050 0.160 0.031
Li: 0.122 0.503 0.129
Li: 0.205 0.831 0.203
Li: 0.244 0.000 0.751
Li: 0.278 0.155 0.289
Li: 0.393 0.504 0.373
Li: 0.447 0.841 0.464
Li: 0.553 0.159 0.536
Li: 0.607 0.496 0.627
Li: 0.722 0.845 0.711
Li: 0.756 0.000 0.249
Li: 0.795 0.169 0.797
Li: 0.878 0.497 0.871
Li: 0.950 0.840 0.969
Mn: 0.000 0.000 0.500
Mn: 0.081 0.327 0.587
Mn: 0.172 0.669 0.668
Mn: 0.326 0.326 0.832
Mn: 0.417 0.670 0.916
Mn: 0.500 0.000 0.000
Mn: 0.583 0.330 0.084
Mn: 0.674 0.674 0.168
Mn: 0.828 0.331 0.332
Mn: 0.919 0.673 0.413
O: 0.009 0.095 0.286
O: 0.057 0.253 0.800
O: 0.069 0.413 0.365
O: 0.149 0.575 0.879
O: 0.188 0.762 0.453
O: 0.234 0.086 0.519
O: 0.265 0.913 0.980
O: 0.315 0.236 0.052
O: 0.346 0.425 0.613
O: 0.404 0.572 0.134
O: 0.409 0.736 0.695
O: 0.488 0.910 0.215
O: 0.512 0.090 0.785
O: 0.591 0.264 0.305
O: 0.596 0.428 0.866
O: 0.654 0.575 0.387
O: 0.685 0.764 0.948
O: 0.735 0.087 0.020
O: 0.766 0.914 0.481
O: 0.812 0.238 0.547
O: 0.851 0.425 0.121
O: 0.931 0.587 0.635
O: 0.943 0.747 0.200
O: 0.991 0.905 0.714


Quick rundown of calculated formation energy, same order as above: -1.9445; -1.8157; -2.7199; -1.6630; -1.8744; -2.2391; -2.0935; -2.1391 eV per atom